Below is a relaxed structure of LiV24O58, with properties calculated at the PBE with a Hubbard U level.

Summary:
calculated density	3.386	Mg/m³
total magnetic moment	5.0	μB/f.u.
energy	-617.37	eV/cell

Structure (CIF):
```
data_LiV24O58
_symmetry_space_group_name_H-M 'P 1'
_symmetry_Int_Tables_number 1
_cell_length_a 7.3477
_cell_length_b 10.9408
_cell_length_c 14.3382
_cell_angle_alpha 77.44
_cell_angle_beta 82.66
_cell_angle_gamma 70.39
loop_
_symmetry_equiv_pos_as_xyz
'x,y,z'
loop_
_atom_site_label
_atom_site_type_symbol
_atom_site_fract_x
_atom_site_fract_y
_atom_site_fract_z
Li1 Li 0.0000 0.0000 0.0000
V1 V 0.2175 0.4079 0.3133
V2 V 0.2568 0.8858 0.1931
V3 V 0.2872 0.5056 0.8414
V4 V 0.3103 0.3314 0.0939
V5 V 0.3274 0.9947 0.7014
V6 V 0.3433 0.6330 0.3640
V7 V 0.3749 0.4464 0.6068
V8 V 0.3917 0.0815 0.2706
V9 V 0.4062 0.7421 0.8824
V10 V 0.4341 0.5663 0.1293
V11 V 0.4608 0.1887 0.7810
V12 V 0.5000 0.6709 0.6590
V13 V 0.7189 0.4056 0.3129
V14 V 0.7610 0.8858 0.1931
V15 V 0.7835 0.5096 0.8433
V16 V 0.8136 0.3275 0.0911
V17 V 0.8274 0.9936 0.7020
V18 V 0.8416 0.6327 0.3646
V19 V 0.8760 0.4447 0.6074
V20 V 0.8909 0.0824 0.2718
V21 V 0.9063 0.7475 0.8819
V22 V 0.9346 0.5667 0.1300
V23 V 0.9588 0.1925 0.7775
V24 V 0.9995 0.6716 0.6589
O1 O 0.0279 0.5505 0.8211
O2 O 0.0418 0.3849 0.0977
O3 O 0.0585 0.0173 0.7326
O4 O 0.0981 0.4896 0.6281
O5 O 0.1195 0.5883 0.3451
O6 O 0.1604 0.0598 0.2392
O7 O 0.1952 0.6883 0.8742
O8 O 0.1971 0.5287 0.1549
O9 O 0.2304 0.1679 0.7450
O10 O 0.2354 0.3196 0.4183
O11 O 0.2455 0.9284 0.0779
O12 O 0.2640 0.7865 0.3763
O13 O 0.2654 0.6275 0.6843
O14 O 0.3042 0.4150 0.9527
O15 O 0.3062 0.2687 0.2379
O16 O 0.3154 0.8962 0.8933
O17 O 0.3435 0.0220 0.5878
O18 O 0.3458 0.7069 0.2115
O19 O 0.3595 0.5382 0.4860
O20 O 0.3735 0.3728 0.7636
O21 O 0.3769 0.0542 0.3843
O22 O 0.3900 0.1794 0.0803
O23 O 0.4124 0.8080 0.7346
O24 O 0.4143 0.6621 0.0173
O25 O 0.4522 0.1481 0.8949
O26 O 0.4529 0.4509 0.2858
O27 O 0.4547 0.2919 0.5972
O28 O 0.4853 0.7580 0.5536
O29 O 0.4885 0.9115 0.2231
O30 O 0.5129 0.5493 0.8201
O31 O 0.5242 0.3855 0.0976
O32 O 0.5581 0.0149 0.7358
O33 O 0.5982 0.4897 0.6280
O34 O 0.6201 0.5875 0.3450
O35 O 0.6603 0.0598 0.2392
O36 O 0.6766 0.6916 0.8740
O37 O 0.7008 0.5222 0.1521
O38 O 0.7292 0.1677 0.7449
O39 O 0.7353 0.3197 0.4186
O40 O 0.7614 0.7863 0.3765
O41 O 0.7653 0.6254 0.6881
O42 O 0.7873 0.9287 0.0781
O43 O 0.8039 0.4152 0.9543
O44 O 0.8063 0.2674 0.2399
O45 O 0.8402 0.0218 0.5883
O46 O 0.8399 0.9021 0.8934
O47 O 0.8416 0.7067 0.2115
O48 O 0.8592 0.5382 0.4864
O49 O 0.8742 0.3703 0.7605
O50 O 0.8761 0.0552 0.3855
O51 O 0.8943 0.1712 0.0805
O52 O 0.9124 0.8084 0.7328
O53 O 0.9157 0.6600 0.0190
O54 O 0.9527 0.1480 0.8928
O55 O 0.9533 0.4504 0.2865
O56 O 0.9555 0.2904 0.5967
O57 O 0.9804 0.7579 0.5532
O58 O 0.9887 0.9072 0.2311
```

Below is a relaxed structure of Li8VO6, with properties calculated at the PBE with a Hubbard U level.

Summary:
calculated density	2.638	Mg/m³
excess energy over the best structure of this formula in the dataset	0.0	meV per atom
total magnetic moment	1.0	μB/f.u.

Structure (CIF):
```
data_Li8VO6
_symmetry_space_group_name_H-M 'P -1'
_symmetry_Int_Tables_number 2
_cell_length_a 5.4410
_cell_length_b 8.0711
_cell_length_c 11.7121
_cell_angle_alpha 97.48
_cell_angle_beta 91.15
_cell_angle_gamma 90.83
loop_
_symmetry_equiv_pos_as_xyz
'x,y,z'
'-x,-y,-z'
loop_
_atom_site_label
_atom_site_type_symbol
_atom_site_fract_x
_atom_site_fract_y
_atom_site_fract_z
Li1 Li 0.0570 0.4559 0.1535
Li2 Li 0.0571 0.4562 0.6540
Li3 Li 0.0787 0.8178 0.3354
Li4 Li 0.0803 0.8187 0.8352
Li5 Li 0.1133 0.1210 0.9901
Li6 Li 0.1136 0.1207 0.4899
Li7 Li 0.2409 0.0977 0.2877
Li8 Li 0.2419 0.0983 0.7883
Li9 Li 0.2579 0.4023 0.4623
Li10 Li 0.2602 0.4026 0.9619
Li11 Li 0.3859 0.3786 0.2602
Li12 Li 0.3869 0.3794 0.7601
Li13 Li 0.4201 0.6814 0.4147
Li14 Li 0.4206 0.6819 0.9144
Li15 Li 0.4423 0.0437 0.0962
Li16 Li 0.4433 0.0439 0.5964
V1 V 0.2496 0.7499 0.1250
V2 V 0.2503 0.7501 0.6250
O1 O 0.0569 0.3249 0.2951
O2 O 0.0575 0.3253 0.7952
O3 O 0.0928 0.6842 0.4753
O4 O 0.0940 0.6845 0.9752
O5 O 0.1060 0.9843 0.1257
O6 O 0.1064 0.9843 0.6256
O7 O 0.3934 0.5160 0.6243
O8 O 0.3937 0.5155 0.1240
O9 O 0.4057 0.8157 0.2749
O10 O 0.4072 0.8163 0.7744
O11 O 0.4424 0.1746 0.9548
O12 O 0.4425 0.1746 0.4547
```

Below is a relaxed structure of Li8VO6, with properties calculated at the PBE with a Hubbard U level.

Summary:
calculated density	2.638	Mg/m³
excess energy over the best structure of this formula in the dataset	0.8	meV per atom
total magnetic moment	1.0	μB/f.u.

Structure (CIF):
```
data_Li8VO6
_symmetry_space_group_name_H-M 'P -1'
_symmetry_Int_Tables_number 2
_cell_length_a 5.3929
_cell_length_b 5.3980
_cell_length_c 10.5009
_cell_angle_alpha 90.00
_cell_angle_beta 104.65
_cell_angle_gamma 119.39
loop_
_symmetry_equiv_pos_as_xyz
'x,y,z'
'-x,-y,-z'
loop_
_atom_site_label
_atom_site_type_symbol
_atom_site_fract_x
_atom_site_fract_y
_atom_site_fract_z
Li1 Li 0.0096 0.4189 0.3205
Li2 Li 0.0115 0.9278 0.8248
Li3 Li 0.1446 0.8185 0.4888
Li4 Li 0.1674 0.3436 0.9893
Li5 Li 0.2604 0.1887 0.6777
Li6 Li 0.2652 0.6846 0.1772
Li7 Li 0.3949 0.5872 0.8209
Li8 Li 0.4015 0.0861 0.3262
V1 V 0.5000 0.0000 0.0000
V2 V 0.5000 0.5000 0.5000
O1 O 0.1197 0.6504 0.8829
O2 O 0.1226 0.1499 0.3832
O3 O 0.2674 0.5318 0.6181
O4 O 0.2784 0.0284 0.1148
O5 O 0.4096 0.2622 0.8818
O6 O 0.4107 0.7490 0.3849
```

Below is a relaxed structure of LiV6O15, with properties calculated at the PBE with a Hubbard U level.

Summary:
calculated density	3.191	Mg/m³
excess energy over the best structure of this formula in the dataset	46.0	meV per atom
total magnetic moment	1.0	μB/f.u.

Structure (CIF):
```
data_LiV6O15
_symmetry_space_group_name_H-M 'C 1 m 1'
_symmetry_Int_Tables_number 8
_cell_length_a 16.2493
_cell_length_b 3.6910
_cell_length_c 10.3085
_cell_angle_alpha 90.00
_cell_angle_beta 111.52
_cell_angle_gamma 90.00
loop_
_symmetry_equiv_pos_as_xyz
'x,y,z'
'x,-y,z'
'x+1/2,y+1/2,z'
'x+1/2,-y+1/2,z'
loop_
_atom_site_label
_atom_site_type_symbol
_atom_site_fract_x
_atom_site_fract_y
_atom_site_fract_z
Li1 Li 0.0000 0.0000 0.0000
V1 V 0.1191 0.5000 0.2013
V2 V 0.1690 0.0000 0.9853
V3 V 0.2142 0.0000 0.6761
V4 V 0.2861 0.5000 0.5035
V5 V 0.3394 0.5000 0.2053
V6 V 0.3715 0.0000 0.9784
O1 O 0.0071 0.5000 0.0811
O2 O 0.0679 0.0000 0.8735
O3 O 0.1088 0.0000 0.6136
O4 O 0.1126 0.5000 0.3545
O5 O 0.1360 0.0000 0.1588
O6 O 0.1873 0.5000 0.0360
O7 O 0.2346 0.0000 0.8716
O8 O 0.2426 0.5000 0.6637
O9 O 0.2543 0.0000 0.5157
O10 O 0.2631 0.5000 0.3130
O11 O 0.3151 0.0000 0.1517
O12 O 0.3754 0.5000 0.0420
O13 O 0.3773 0.0000 0.8216
O14 O 0.3913 0.5000 0.5712
O15 O 0.4337 0.5000 0.3296
```